Here is a relaxed RbBaTaS4 crystal from Materials Project. Energies are from PBE.

Calculated values
The space group is Pnma (62). Its energy relative to the elements is -1763 meV/atom. The final energy is -166.53 eV for the cell shown. The total moment is 0.00 Bohr magnetons per cell.

Cell: 9.4677 7.1154 12.6433 Å, 90.00 90.00 90.00°
Fractional coordinates of all 28 atoms:
Rb1 0.1370 0.2500 0.0884
Rb2 0.3630 0.7500 0.5884
Rb3 0.6370 0.2500 0.4116
Rb4 0.8630 0.7500 0.9116
Ba1 0.0202 0.7500 0.3252
Ba2 0.4798 0.2500 0.8252
Ba3 0.5202 0.7500 0.1748
Ba4 0.9798 0.2500 0.6748
Ta1 0.2305 0.2500 0.4212
Ta2 0.2695 0.7500 0.9212
Ta3 0.7305 0.2500 0.0788
Ta4 0.7695 0.7500 0.5788
S1 0.0105 0.7500 0.5845
S2 0.1843 0.0083 0.8374
S3 0.1843 0.4917 0.8374
S4 0.1941 0.7500 0.0929
S5 0.3059 0.2500 0.5929
S6 0.3157 0.5083 0.3375
S7 0.3157 0.9917 0.3375
S8 0.4895 0.2500 0.0845
S9 0.5105 0.7500 0.9155
S10 0.6843 0.0083 0.6626
S11 0.6843 0.4917 0.6626
S12 0.6941 0.7500 0.4071
S13 0.8059 0.2500 0.9071
S14 0.8157 0.5083 0.1626
S15 0.8157 0.9917 0.1626
S16 0.9895 0.2500 0.4155